Record 1
## Te6Mo3WSe2 (GGA-PBE)

Data for a geometry-optimized Te6Mo3WSe2 structure.

Lattice parameters (Å, degrees): 3.4995 3.4995 39.5432 90.00 90.00 120.00
Atoms (fractional coordinates):
Te (0.6667, 0.3333, 0.4233)
Se (0.3333, 0.6667, 0.2409)
Te (0.3333, 0.6667, 0.7041)
Te (0.6667, 0.3333, 0.5160)
Mo (0.3333, 0.6667, 0.0939)
Se (0.3333, 0.6667, 0.3227)
Te (0.6667, 0.3333, 0.0476)
W (0.6667, 0.3333, 0.6576)
Mo (0.6667, 0.3333, 0.2818)
Te (0.3333, 0.6667, 0.6110)
Mo (0.3333, 0.6667, 0.4696)
Te (0.6667, 0.3333, 0.1403)

- Energy of formation: -384 meV per atom
- Size of the total moment: 0.04 μB per formula unit
- ΔE to the lowest computed polymorph: 0.019 eV/atom
- Energy with MP2020 corrections: -75.95 eV/cell
- Uncorrected energy: -75.01 eV/f.u.

=====

Record 2
## BaYF5 (GGA-PBE)

Data for a geometry-optimized BaYF5 structure.

Lattice parameters (Å, degrees): 9.8056 5.6245 8.3439 87.17 90.00 90.00
Atoms (fractional coordinates):
F (0.0962, 0.8110, 0.9803)
F (0.1971, 0.6823, 0.7041)
F (0.8454, 0.9003, 0.8189)
F (0.3454, 0.0997, 0.1811)
F (0.1883, 0.1438, 0.5097)
F (0.9558, 0.4369, 0.2534)
F (0.4558, 0.5631, 0.7466)
F (0.2207, 0.5755, 0.3099)
F (0.6971, 0.3177, 0.2959)
Y (0.0618, 0.0045, 0.7380)
Ba (0.8005, 0.5019, 0.9941)
F (0.5349, 0.7175, 0.0804)
Ba (0.5684, 0.0007, 0.7432)
F (0.9827, 0.7710, 0.5260)
F (0.2895, 0.1742, 0.7808)
F (0.5962, 0.1890, 0.0197)
F (0.9397, 0.2399, 0.5686)
F (0.0349, 0.2825, 0.9196)
Ba (0.3005, 0.4981, 0.0059)
F (0.4397, 0.7601, 0.4314)
Y (0.5618, 0.9955, 0.2620)
Ba (0.0684, 0.9993, 0.2568)
Y (0.8177, 0.5322, 0.4592)
F (0.7207, 0.4245, 0.6901)
F (0.7895, 0.8258, 0.2192)
Y (0.3177, 0.4678, 0.5408)
F (0.6883, 0.8562, 0.4903)
F (0.4827, 0.2290, 0.4740)

- Energy of formation: -4280 meV per atom
- Largest piezoelectric modulus: 2.91 C/m²
- Size of the total moment: 0.00 μB per formula unit
- ΔE to the lowest computed polymorph: 0.062 eV/atom
- Energy with MP2020 corrections: -191.66 eV/cell
- Uncorrected energy: -45.61 eV/f.u.

=====

Record 3
## Ce2NiPt (GGA-PBE)

Data for a geometry-optimized Ce2NiPt structure.

Lattice parameters (Å, degrees): 5.7611 5.7611 4.3131 90.00 90.00 141.99
Atoms (fractional coordinates):
Ce (0.8657, 0.1343, 0.5000)
Ni (0.4109, 0.5891, 0.0000)
Ce (0.1376, 0.8624, 0.0000)
Pt (0.5857, 0.4143, 0.5000)

- Energy of formation: -693 meV per atom
- Uncorrected energy: -26.49 eV/f.u.

=====

Record 4
## CaCu2Ge4O12 (GGA-PBE)

Data for a geometry-optimized CaCu2Ge4O12 structure.

Lattice parameters (Å, degrees): 5.4800 6.7507 6.7507 83.58 77.65 77.65
Atoms (fractional coordinates):
O (0.8062, 0.9224, 0.3713)
O (0.8735, 0.1945, 0.0164)
O (0.1135, 0.8237, 0.9718)
O (0.1702, 0.0955, 0.6311)
O (0.6265, 0.9836, 0.8055)
O (0.6938, 0.6287, 0.0776)
Cu (0.7500, 0.9039, 0.0961)
Ca (0.7500, 0.3079, 0.6921)
O (0.0103, 0.3753, 0.3466)
Ge (0.7217, 0.8046, 0.6119)
Ge (0.2890, 0.1895, 0.3821)
O (0.9698, 0.6020, 0.6770)
O (0.3865, 0.0282, 0.1763)
Ge (0.7783, 0.3881, 0.1954)
O (0.3298, 0.3689, 0.9045)
Ge (0.2110, 0.6179, 0.8105)
Cu (0.2500, 0.0898, 0.9102)
O (0.4897, 0.6534, 0.6247)
O (0.5302, 0.3230, 0.3980)

- Energy of formation: -1852 meV per atom
- Size of the total moment: 0.00 μB per formula unit
- ΔE to the lowest computed polymorph: 0.000 eV/atom
- Energy with MP2020 corrections: -123.27 eV/cell
- Uncorrected energy: -115.02 eV/f.u.